# 1
Here is crystalline Ca3Si4Ir4 at its relaxed geometry from the Materials Project database. Energies are from PBE.

abc: 6.476 6.476 6.476
angles: 109.47 109.47 109.47
Atoms (fractional coordinates):
Ca1 0.000 0.500 0.500
Ca2 0.500 0.000 0.500
Ca3 0.500 0.500 0.000
Si1 0.000 0.000 0.366
Si2 0.000 0.366 0.000
Si3 0.366 0.000 0.000
Si4 0.634 0.634 0.634
Ir1 0.000 0.000 0.721
Ir2 0.000 0.721 0.000
Ir3 0.279 0.279 0.279
Ir4 0.721 0.000 0.000

As for the total DFT energy (no corrections): -72.72 eV/cell. Its space group is No. 217.

=====

# 2
Here is crystalline CaSn2Ir at its relaxed geometry from the Materials Project database. Energies are from PBE.

abc: 5.884 5.884 7.667
angles: 90.00 90.00 136.61
Atoms (fractional coordinates):
Ca1 0.068 0.932 0.750
Ca2 0.932 0.068 0.250
Sn1 0.356 0.644 0.547
Sn2 0.356 0.644 0.953
Sn3 0.644 0.356 0.047
Sn4 0.644 0.356 0.453
Ir1 0.212 0.788 0.250
Ir2 0.788 0.212 0.750

As for the total DFT energy (no corrections): -42.38 eV/cell. Its space group is No. 63.

=====

# 3
Here is crystalline KCaLaSeO6 at its relaxed geometry from the Materials Project database. Energies are from PBE.

abc: 5.713 5.713 5.713
angles: 60.00 60.00 60.00
Atoms (fractional coordinates):
K1 0.000 0.000 0.000
Ca1 0.750 0.750 0.750
La1 0.500 0.500 0.500
Se1 0.250 0.250 0.250
O1 0.025 0.025 0.475
O2 0.025 0.475 0.025
O3 0.025 0.475 0.475
O4 0.475 0.025 0.025
O5 0.475 0.025 0.475
O6 0.475 0.475 0.025

The total energy after the MP2020 corrections comes out at -6.52 eV per atom. As for the total DFT energy (no corrections): -61.10 eV/cell. Its space group is No. 216. The magnetic moment is 0.00 μB per formula unit.

=====

# 4
Here is crystalline K2Na2Ca4Mg15Si24O72 at its relaxed geometry from the Materials Project database. Energies are from PBE.

abc: 12.323 12.323 10.167
angles: 103.83 103.83 96.06
Atoms (fractional coordinates):
K1 0.000 0.000 0.000
K2 0.667 0.667 0.667
Na1 0.051 0.604 0.813
Na2 0.604 0.051 0.813
Ca1 0.274 0.714 0.481
Ca2 0.382 0.941 0.146
Ca3 0.714 0.274 0.481
Ca4 0.941 0.382 0.146
Mg1 0.006 0.649 0.313
Mg2 0.089 0.902 0.480
Mg3 0.161 0.161 0.646
Mg4 0.233 0.423 0.813
Mg5 0.311 0.671 0.978
Mg6 0.344 0.984 0.648
Mg7 0.423 0.233 0.813
Mg8 0.494 0.494 0.981
Mg9 0.566 0.753 0.146
Mg10 0.649 0.006 0.313
Mg11 0.671 0.311 0.978
Mg12 0.753 0.566 0.146
Mg13 0.828 0.828 0.314
Mg14 0.902 0.089 0.480
Mg15 0.984 0.344 0.648
Si1 0.071 0.239 0.365
Si2 0.084 0.254 0.928
Si3 0.150 0.493 0.521
Si4 0.159 0.817 0.189
Si5 0.162 0.505 0.106
Si6 0.172 0.829 0.770
Si7 0.239 0.071 0.365
Si8 0.254 0.084 0.928
Si9 0.401 0.571 0.699
Si10 0.416 0.584 0.262
Si11 0.482 0.826 0.856
Si12 0.493 0.150 0.521
Si13 0.496 0.837 0.438
Si14 0.505 0.162 0.106
Si15 0.571 0.401 0.699
Si16 0.584 0.416 0.262
Si17 0.734 0.904 0.032
Si18 0.751 0.921 0.595
Si19 0.817 0.159 0.189
Si20 0.826 0.482 0.856
Si21 0.829 0.172 0.770
Si22 0.837 0.496 0.438
Si23 0.904 0.734 0.032
Si24 0.921 0.751 0.595
O1 0.026 0.026 0.599
O2 0.030 0.796 0.735
O3 0.039 0.783 0.056
O4 0.040 0.215 0.502
O5 0.057 0.550 0.157
O6 0.105 0.598 0.470
O7 0.107 0.283 0.789
O8 0.108 0.376 0.383
O9 0.121 0.462 0.656
O10 0.123 0.363 0.068
O11 0.134 0.786 0.327
O12 0.151 0.151 0.965
O13 0.172 0.172 0.326
O14 0.193 0.534 0.970
O15 0.195 0.960 0.224
O16 0.203 0.857 0.633
O17 0.208 0.948 0.907
O18 0.215 0.040 0.502
O19 0.222 0.727 0.821
O20 0.264 0.773 0.137
O21 0.279 0.547 0.244
O22 0.283 0.107 0.789
O23 0.293 0.532 0.558
O24 0.295 0.295 0.696
O25 0.360 0.360 0.930
O26 0.363 0.123 0.068
O27 0.372 0.548 0.837
O28 0.376 0.108 0.383
O29 0.391 0.882 0.490
O30 0.433 0.929 0.806
O31 0.440 0.616 0.125
O32 0.447 0.707 0.720
O33 0.452 0.798 0.994
O34 0.460 0.695 0.403
O35 0.462 0.121 0.656
O36 0.482 0.482 0.299
O37 0.505 0.505 0.662
O38 0.522 0.869 0.300
O39 0.532 0.293 0.558
O40 0.534 0.193 0.970
O41 0.547 0.279 0.244
O42 0.548 0.372 0.837
O43 0.550 0.057 0.157
O44 0.598 0.105 0.470
O45 0.616 0.440 0.125
O46 0.616 0.873 0.571
O47 0.625 0.858 0.891
O48 0.629 0.629 0.026
O49 0.693 0.693 0.266
O50 0.695 0.460 0.403
O51 0.705 0.881 0.171
O52 0.707 0.447 0.720
O53 0.727 0.222 0.821
O54 0.773 0.264 0.137
O55 0.774 0.951 0.456
O56 0.783 0.039 0.056
O57 0.786 0.134 0.327
O58 0.796 0.030 0.735
O59 0.798 0.452 0.994
O60 0.819 0.819 0.632
O61 0.836 0.836 0.993
O62 0.857 0.203 0.633
O63 0.858 0.625 0.891
O64 0.869 0.522 0.300
O65 0.873 0.616 0.571
O66 0.881 0.705 0.171
O67 0.882 0.391 0.490
O68 0.929 0.433 0.806
O69 0.948 0.208 0.907
O70 0.951 0.774 0.456
O71 0.960 0.195 0.224
O72 0.962 0.962 0.360

The total energy after the MP2020 corrections comes out at -7.51 eV per atom. As for the total DFT energy (no corrections): -844.36 eV/cell. Its space group is No. 8. The magnetic moment is 6.00 μB per formula unit.

=====

# 5
Here is crystalline KNaCaMg5Si8O24 at its relaxed geometry from the Materials Project database. Energies are from PBE.

abc: 5.320 10.196 10.474
angles: 60.89 82.72 74.91
Atoms (fractional coordinates):
K1 0.000 0.000 0.000
Na1 0.469 0.792 0.444
Ca1 0.469 0.237 0.556
Mg1 0.468 0.423 0.183
Mg2 0.469 0.609 0.809
Mg3 0.969 0.337 0.354
Mg4 0.969 0.697 0.634
Mg5 0.970 0.516 0.996
Si1 0.162 0.972 0.653
Si2 0.164 0.627 0.341
Si3 0.267 0.328 0.828
Si4 0.269 0.158 0.168
Si5 0.669 0.702 0.168
Si6 0.670 0.872 0.827
Si7 0.774 0.060 0.340
Si8 0.776 0.403 0.654
O1 0.063 0.046 0.256
O2 0.071 0.302 0.735
O3 0.168 0.627 0.493
O4 0.171 0.129 0.507
O5 0.182 0.319 0.173
O6 0.182 0.494 0.822
O7 0.239 0.806 0.656
O8 0.246 0.459 0.345
O9 0.267 0.188 0.997
O10 0.283 0.603 0.997
O11 0.373 0.735 0.229
O12 0.376 0.973 0.762
O13 0.561 0.294 0.761
O14 0.564 0.064 0.230
O15 0.654 0.429 0.997
O16 0.667 0.843 0.997
O17 0.693 0.225 0.344
O18 0.699 0.566 0.656
O19 0.756 0.536 0.173
O20 0.756 0.712 0.821
O21 0.767 0.393 0.506
O22 0.771 0.909 0.493
O23 0.868 0.990 0.736
O24 0.875 0.726 0.255

The total energy after the MP2020 corrections comes out at -7.45 eV per atom. As for the total DFT energy (no corrections): -281.40 eV/cell. Its space group is No. 1.

=====

# 6
Here is crystalline K2Ca2MgS4O18 at its relaxed geometry from the Materials Project database. Energies are from PBE.

abc: 6.866 7.020 9.025
angles: 99.73 104.63 112.19
Atoms (fractional coordinates):
K1 0.211 0.487 0.427
K2 0.789 0.513 0.573
Ca1 0.369 0.135 0.748
Ca2 0.631 0.865 0.252
Mg1 0.000 0.000 0.000
S1 0.189 0.955 0.361
S2 0.425 0.686 0.861
S3 0.575 0.314 0.139
S4 0.811 0.045 0.639
O1 0.004 0.303 0.096
O2 0.012 0.979 0.234
O3 0.077 0.825 0.455
O4 0.296 0.848 0.278
O5 0.304 0.775 0.754
O6 0.314 0.627 0.980
O7 0.341 0.147 0.041
O8 0.353 0.174 0.471
O9 0.430 0.499 0.762
O10 0.570 0.501 0.238
O11 0.647 0.826 0.529
O12 0.659 0.853 0.959
O13 0.686 0.373 0.020
O14 0.696 0.225 0.246
O15 0.704 0.152 0.722
O16 0.923 0.175 0.545
O17 0.988 0.021 0.766
O18 0.996 0.697 0.904

The total energy after the MP2020 corrections comes out at -6.36 eV per atom. As for the total DFT energy (no corrections): -159.32 eV/cell. Its space group is No. 2. The magnetic moment is 4.00 μB per formula unit.

=====

# 7
Here is crystalline K2Ca5N4 at its relaxed geometry from the Materials Project database. Energies are from PBE.

abc: 7.926 7.926 16.829
angles: 90.00 90.00 90.00
Atoms (fractional coordinates):
K1 0.081 0.581 0.250
K2 0.081 0.919 0.750
K3 0.419 0.581 0.750
K4 0.419 0.919 0.250
K5 0.581 0.081 0.750
K6 0.581 0.419 0.250
K7 0.919 0.081 0.250
K8 0.919 0.419 0.750
Ca1 0.078 0.634 0.566
Ca2 0.078 0.866 0.066
Ca3 0.134 0.578 0.934
Ca4 0.134 0.922 0.434
Ca5 0.250 0.250 0.090
Ca6 0.250 0.250 0.590
Ca7 0.366 0.578 0.434
Ca8 0.366 0.922 0.934
Ca9 0.422 0.634 0.066
Ca10 0.422 0.866 0.566
Ca11 0.578 0.134 0.434
Ca12 0.578 0.366 0.934
Ca13 0.634 0.078 0.066
Ca14 0.634 0.422 0.566
Ca15 0.750 0.750 0.410
Ca16 0.750 0.750 0.910
Ca17 0.866 0.078 0.566
Ca18 0.866 0.422 0.066
Ca19 0.922 0.134 0.934
Ca20 0.922 0.366 0.434
N1 0.053 0.634 0.418
N2 0.053 0.866 0.918
N3 0.134 0.553 0.082
N4 0.134 0.947 0.582
N5 0.366 0.553 0.582
N6 0.366 0.947 0.082
N7 0.447 0.634 0.918
N8 0.447 0.866 0.418
N9 0.553 0.134 0.582
N10 0.553 0.366 0.082
N11 0.634 0.053 0.918
N12 0.634 0.447 0.418
N13 0.866 0.053 0.418
N14 0.866 0.447 0.918
N15 0.947 0.134 0.082
N16 0.947 0.366 0.582

The total energy after the MP2020 corrections comes out at -4.69 eV per atom. As for the total DFT energy (no corrections): -200.63 eV/cell. Its space group is No. 130. The magnetic moment is 0.00 μB per formula unit.

=====

# 8
Here is crystalline K2CaNd4Nb2O12 at its relaxed geometry from the Materials Project database. Energies are from PBE.

abc: 6.994 6.994 9.436
angles: 101.49 101.49 49.27
Atoms (fractional coordinates):
K1 0.129 0.129 0.495
K2 0.871 0.871 0.505
Ca1 0.500 0.500 0.500
Nd1 0.122 0.122 0.909
Nd2 0.422 0.422 0.823
Nd3 0.578 0.578 0.177
Nd4 0.878 0.878 0.091
Nb1 0.316 0.316 0.257
Nb2 0.684 0.684 0.743
O1 0.016 0.525 0.846
O2 0.220 0.683 0.288
O3 0.246 0.754 0.000
O4 0.317 0.780 0.712
O5 0.320 0.320 0.465
O6 0.475 0.984 0.154
O7 0.525 0.016 0.846
O8 0.680 0.680 0.535
O9 0.683 0.220 0.288
O10 0.754 0.246 0.000
O11 0.780 0.317 0.712
O12 0.984 0.475 0.154

The energy above the most stable polymorph in this dataset is 0 kJ/mol of formula units. The total energy after the MP2020 corrections comes out at -8.04 eV per atom. As for the total DFT energy (no corrections): -160.61 eV/cell. Its space group is No. 12. The magnetic moment is 0.00 μB per formula unit.

=====

# 9
Here is crystalline K2CaNd4Nb2O12 at its relaxed geometry from the Materials Project database. Energies are from PBE.

abc: 5.898 7.027 8.935
angles: 75.83 86.30 67.18
Atoms (fractional coordinates):
K1 0.000 0.000 0.000
K2 0.129 0.574 0.835
Ca1 0.436 0.378 0.104
Nd1 0.235 0.515 0.430
Nd2 0.579 0.874 0.291
Nd3 0.670 0.586 0.684
Nd4 0.971 0.054 0.530
Nb1 0.436 0.089 0.772
Nb2 0.876 0.412 0.191
O1 0.105 0.296 0.657
O2 0.201 0.223 0.300
O3 0.317 0.869 0.771
O4 0.351 0.772 0.490
O5 0.422 0.128 0.974
O6 0.491 0.616 0.208
O7 0.551 0.316 0.636
O8 0.751 0.434 0.967
O9 0.756 0.160 0.275
O10 0.767 0.900 0.751
O11 0.868 0.753 0.494
O12 0.965 0.651 0.182

The energy above the most stable polymorph in this dataset is 85 kJ/mol of formula units. The total energy after the MP2020 corrections comes out at -8.00 eV per atom. As for the total DFT energy (no corrections): -159.72 eV/cell. Its space group is No. 1. The magnetic moment is 0.00 μB per formula unit.

=====

# 10
Here is crystalline K2CaNd4Nb2O12 at its relaxed geometry from the Materials Project database. Energies are from PBE.

abc: 7.152 7.152 9.147
angles: 106.05 106.05 48.43
Atoms (fractional coordinates):
K1 0.000 0.000 0.000
K2 0.230 0.230 0.980
Ca1 0.764 0.764 0.469
Nd1 0.010 0.010 0.565
Nd2 0.244 0.244 0.403
Nd3 0.515 0.515 0.284
Nd4 0.681 0.681 0.726
Nb1 0.439 0.439 0.779
Nb2 0.774 0.774 0.174
O1 0.107 0.588 0.645
O2 0.108 0.649 0.332
O3 0.326 0.792 0.781
O4 0.382 0.858 0.493
O5 0.432 0.432 0.981
O6 0.439 0.884 0.212
O7 0.588 0.107 0.645
O8 0.649 0.108 0.332
O9 0.792 0.326 0.781
O10 0.794 0.794 0.980
O11 0.858 0.382 0.493
O12 0.884 0.439 0.212

The energy above the most stable polymorph in this dataset is 268 kJ/mol of formula units. The total energy after the MP2020 corrections comes out at -7.91 eV per atom. As for the total DFT energy (no corrections): -157.83 eV/cell. Its space group is No. 8. The magnetic moment is 0.99 μB per formula unit.

=====

# 11
Here is crystalline K2CaNd4Nb2O12 at its relaxed geometry from the Materials Project database. Energies are from PBE.

abc: 6.930 6.930 9.180
angles: 103.60 103.60 50.31
Atoms (fractional coordinates):
K1 0.000 0.000 0.000
K2 0.737 0.737 0.965
Ca1 0.807 0.807 0.296
Nd1 0.047 0.047 0.469
Nd2 0.293 0.293 0.323
Nd3 0.462 0.462 0.696
Nd4 0.757 0.757 0.607
Nb1 0.228 0.228 0.805
Nb2 0.532 0.532 0.218
O1 0.105 0.577 0.802
O2 0.118 0.651 0.504
O3 0.181 0.668 0.225
O4 0.210 0.210 0.003
O5 0.362 0.876 0.695
O6 0.429 0.877 0.338
O7 0.549 0.549 0.024
O8 0.577 0.105 0.802
O9 0.651 0.118 0.504
O10 0.668 0.181 0.225
O11 0.876 0.362 0.695
O12 0.877 0.429 0.338

The energy above the most stable polymorph in this dataset is 128 kJ/mol of formula units. The total energy after the MP2020 corrections comes out at -7.98 eV per atom. As for the total DFT energy (no corrections): -159.29 eV/cell. Its space group is No. 8. The magnetic moment is 0.42 μB per formula unit.

=====

E_form across the listed records, respectively: -0.8773 -0.5814 -2.3986 -3.1132 -3.0824 -2.1574 -0.5461 -3.1417 -3.0996 -3.0093 -3.0787 eV per atom.